1.
This record from the Materials Project database describes a relaxed La3Ni2Sn7 crystal. The functional is PBE-GGA.

Cell: 4.656 27.798 4.654 Å, 90.00 90.00 90.00°
Space group Cmmm (No. 65)
Unique sites:
La (0.000, 0.000, 0.000)
La (0.000, 0.316, 0.500)
Ni (0.000, 0.128, 0.000)
Sn (0.000, 0.089, 0.500)
Sn (0.000, 0.218, 0.000)
Sn (0.000, 0.411, 0.000)
Sn (0.000, 0.500, 0.500)


2.
This record from the Materials Project database describes a relaxed CeSe2 crystal. The functional is PBE-GGA.

Cell: 31.0118 31.0118 12.6492 Å, 90.00 90.00 120.00°
Space group R3 (No. 146, hexagonal axes)
Unique sites:
Ce (0.0076, 0.4170, 0.0000)
Ce (0.0077, 0.5906, 0.4999)
Ce (0.0838, 0.3409, 0.9035)
Ce (0.0837, 0.7426, 0.4039)
Se (0.0001, 0.2314, 0.2852)
Se (0.9999, 0.2801, 0.7849)
Se (0.0000, 0.4136, 0.7856)
Se (0.0000, 0.4998, 0.0351)
Se (0.0000, 0.4999, 0.5352)
Se (0.0000, 0.5864, 0.2848)
Se (0.0001, 0.7200, 0.2852)
Se (0.9999, 0.7687, 0.7851)

Values from the calculation:
For the total magnetization, the calculation gives 0.0 μB/f.u.


3.
This record from the Materials Project database describes a relaxed K2Nb3H11C5Cl6O8 crystal. The functional is PBE-GGA.

Cell: 9.639 9.760 12.984 Å, 76.86 79.63 81.41°
Space group P-1 (No. 2)
Unique sites:
K (0.193, 0.453, 0.145)
K (0.236, 0.458, 0.770)
Nb (0.338, 0.143, 0.438)
Nb (0.350, 0.897, 0.615)
Nb (0.483, 0.868, 0.399)
H (0.018, 0.296, 0.980)
H (0.018, 0.798, 0.207)
H (0.029, 0.362, 0.482)
H (0.033, 0.903, 0.790)
H (0.047, 0.091, 0.908)
H (0.134, 0.828, 0.082)
H (0.269, 0.160, 0.036)
H (0.270, 0.697, 0.301)
H (0.425, 0.142, 0.940)
H (0.440, 0.160, 0.071)
H (0.453, 0.368, 0.925)
C (0.024, 0.813, 0.120)
C (0.065, 0.379, 0.394)
C (0.084, 0.792, 0.802)
C (0.376, 0.194, 0.006)
C (0.377, 0.684, 0.252)
Cl (0.133, 0.048, 0.564)
Cl (0.289, 0.012, 0.308)
Cl (0.304, 0.722, 0.516)
Cl (0.331, 0.327, 0.544)
Cl (0.343, 0.033, 0.756)
Cl (0.486, 0.290, 0.289)
O (0.000, 0.474, 0.333)
O (0.020, 0.311, 0.902)
O (0.025, 0.699, 0.875)
O (0.175, 0.298, 0.362)
O (0.200, 0.765, 0.741)
O (0.361, 0.346, 0.971)
O (0.389, 0.630, 0.171)
O (0.480, 0.725, 0.283)

Values from the calculation:
For the total magnetization, the calculation gives 0.0 μB/f.u.


4.
This record from the Materials Project database describes a relaxed Hf3Ga3Pd2Pt crystal. The functional is PBE-GGA.

Cell: 7.1834 7.1834 6.9852 Å, 90.00 90.00 120.00°
Space group P-6 (No. 174)
Unique sites:
Hf (0.0232, 0.6111, 0.0000)
Hf (0.4129, 0.3885, 0.5000)
Ga (0.0007, 0.2656, 0.2499)
Pd (0.0000, 0.0000, 0.0000)
Pd (0.0000, 0.0000, 0.5000)
Pd (0.3333, 0.6667, 0.2849)
Pt (0.6667, 0.3333, 0.2153)

Values from the calculation:
For the total magnetization, the calculation gives 0.0 μB/f.u.


Asked for electronic total energy across the records above, the calculation gives -5.180 -5.339 -5.768 -6.965 eV per atom in order.
Asked for ΔE_f across the records above, the calculation gives -0.64 -1.35 -1.16 -0.81 eV/atom in order.